This record from the Materials Project database describes a relaxed structure of Ho2Fe17N3. The functional is GGA-PBE.

Results
VASP energy: -8.329 eV per atom
Formation energy: -6.16 eV/f.u.
E (MP2020): -184.32 eV per formula unit

Structure (CIF):
```
data_Ho2Fe17N3
_chemical_formula_sum 'Ho4 Fe34 N6'
_cell_length_a 8.6350
_cell_length_b 8.6350
_cell_length_c 8.3889
_cell_angle_alpha 90.00
_cell_angle_beta 90.00
_cell_angle_gamma 120.00
_symmetry_space_group_name_H-M 'P 63/m m c'
_symmetry_Int_Tables_number 194
_symmetry_space_group_name_Hall '-P 6c 2c'
loop_
_atom_site_label
_atom_site_type_symbol
_atom_site_fract_x
_atom_site_fract_y
_atom_site_fract_z
Ho1 Ho 0.0000 0.0000 0.2500
Ho2 Ho 0.3333 0.6667 0.2500
Fe1 Fe 0.0000 0.5000 0.0000
Fe2 Fe 0.0532 0.3814 0.7500
Fe3 Fe 0.1690 0.3380 0.0208
Fe4 Fe 0.3333 0.6667 0.6070
N1 N 0.1640 0.3280 0.2500
```